1.
The following is a DFT calculation (r2SCAN) of a geometry-optimized Ga8Cu3W2 structure.

Cell: 10.316 10.316 10.316 Å, 109.47 109.47 109.47°
Sites, in units of the cell vectors:
Ga (0.000, 0.209, 0.500)
Ga (0.000, 0.269, 0.013)
Ga (0.000, 0.709, 0.500)
Ga (0.000, 0.769, 0.013)
Ga (0.013, 0.000, 0.269)
Ga (0.013, 0.000, 0.769)
Ga (0.209, 0.500, 0.000)
Ga (0.231, 0.231, 0.744)
Ga (0.231, 0.744, 0.231)
Ga (0.244, 0.731, 0.731)
Ga (0.256, 0.987, 0.487)
Ga (0.269, 0.013, 0.000)
Ga (0.269, 0.500, 0.513)
Ga (0.291, 0.291, 0.291)
Ga (0.487, 0.256, 0.987)
Ga (0.487, 0.756, 0.987)
Ga (0.500, 0.000, 0.209)
Ga (0.500, 0.000, 0.709)
Ga (0.500, 0.513, 0.269)
Ga (0.500, 0.513, 0.769)
Ga (0.513, 0.269, 0.500)
Ga (0.513, 0.769, 0.500)
Ga (0.709, 0.500, 0.000)
Ga (0.731, 0.244, 0.731)
Ga (0.731, 0.731, 0.244)
Ga (0.744, 0.231, 0.231)
Ga (0.756, 0.987, 0.487)
Ga (0.769, 0.013, 0.000)
Ga (0.769, 0.500, 0.513)
Ga (0.791, 0.791, 0.791)
Ga (0.987, 0.487, 0.256)
Ga (0.987, 0.487, 0.756)
Cu (0.021, 0.250, 0.271)
Cu (0.229, 0.479, 0.750)
Cu (0.250, 0.271, 0.021)
Cu (0.250, 0.979, 0.729)
Cu (0.271, 0.021, 0.250)
Cu (0.479, 0.750, 0.229)
Cu (0.521, 0.771, 0.750)
Cu (0.729, 0.250, 0.979)
Cu (0.750, 0.229, 0.479)
Cu (0.750, 0.521, 0.771)
Cu (0.771, 0.750, 0.521)
Cu (0.979, 0.729, 0.250)
W (0.000, 0.457, 0.500)
W (0.000, 0.957, 0.500)
W (0.043, 0.043, 0.043)
W (0.457, 0.500, 0.000)
W (0.500, 0.000, 0.457)
W (0.500, 0.000, 0.957)
W (0.543, 0.543, 0.543)
W (0.957, 0.500, 0.000)

## Properties
The value obtained for the size of the total moment is 0.0 μB per formula unit. As for the final energy: -913.4 eV per cell. The value obtained for the formation energy is -1.52 eV per formula unit.

***

2.
The following is a DFT calculation (r2SCAN) of a geometry-optimized Rb5Dy3Br12 structure.

Cell: 4.082 14.183 14.183 Å, 119.98 90.00 90.00°
Sites, in units of the cell vectors:
Rb (0.000, 0.000, 0.000)
Rb (0.000, 0.275, 0.549)
Rb (0.000, 0.549, 0.275)
Rb (0.000, 0.608, 0.941)
Rb (0.000, 0.941, 0.608)
Dy (0.500, 0.275, 0.938)
Dy (0.500, 0.611, 0.611)
Dy (0.500, 0.938, 0.275)
Br (0.000, 0.085, 0.275)
Br (0.000, 0.275, 0.085)
Br (0.000, 0.275, 0.795)
Br (0.000, 0.465, 0.465)
Br (0.000, 0.754, 0.754)
Br (0.000, 0.795, 0.275)
Br (0.500, 0.046, 0.832)
Br (0.500, 0.061, 0.503)
Br (0.500, 0.488, 0.717)
Br (0.500, 0.503, 0.061)
Br (0.500, 0.717, 0.488)
Br (0.500, 0.832, 0.046)

## Properties
The value obtained for the size of the total moment is 0.5 μB per formula unit. As for the final energy: -364.2 eV per cell. The value obtained for the formation energy is -39.51 eV per formula unit.

***

3.
The following is a DFT calculation (r2SCAN) of a geometry-optimized KCuF3 structure.

Cell: 5.773 5.773 3.953 Å, 90.00 90.00 90.00°
Sites, in units of the cell vectors:
K (0.000, 0.000, 0.000)
K (0.500, 0.500, 0.000)
Cu (0.000, 0.500, 0.500)
Cu (0.500, 0.000, 0.500)
F (0.000, 0.500, 0.000)
F (0.232, 0.268, 0.500)
F (0.268, 0.768, 0.500)
F (0.500, 0.000, 0.000)
F (0.732, 0.232, 0.500)
F (0.768, 0.732, 0.500)

## Properties
The value obtained for the size of the total moment is 1.0 μB per formula unit. As for the final energy: -76.2 eV per cell. The value obtained for the formation energy is -11.85 eV per formula unit.

***

4.
The following is a DFT calculation (r2SCAN) of a geometry-optimized VZnHPbO5 structure.

Cell: 7.578 6.071 9.412 Å, 90.00 90.00 90.00°
Sites, in units of the cell vectors:
V (0.132, 0.250, 0.188)
V (0.368, 0.750, 0.688)
V (0.632, 0.250, 0.312)
V (0.868, 0.750, 0.812)
Zn (0.000, 0.000, 0.500)
Zn (0.000, 0.500, 0.500)
Zn (0.500, 0.000, 0.000)
Zn (0.500, 0.500, 0.000)
H (0.240, 0.750, 0.016)
H (0.260, 0.250, 0.516)
H (0.740, 0.750, 0.484)
H (0.760, 0.250, 0.984)
Pb (0.129, 0.250, 0.824)
Pb (0.371, 0.750, 0.324)
Pb (0.629, 0.250, 0.676)
Pb (0.871, 0.750, 0.176)
O (0.047, 0.750, 0.918)
O (0.123, 0.011, 0.291)
O (0.123, 0.489, 0.291)
O (0.147, 0.250, 0.567)
O (0.188, 0.750, 0.572)
O (0.312, 0.250, 0.072)
O (0.353, 0.750, 0.067)
O (0.377, 0.511, 0.791)
O (0.377, 0.989, 0.791)
O (0.453, 0.250, 0.418)
O (0.547, 0.750, 0.582)
O (0.623, 0.011, 0.209)
O (0.623, 0.489, 0.209)
O (0.647, 0.250, 0.933)
O (0.688, 0.750, 0.928)
O (0.812, 0.250, 0.428)
O (0.853, 0.750, 0.433)
O (0.877, 0.511, 0.709)
O (0.877, 0.989, 0.709)
O (0.953, 0.250, 0.082)

## Properties
The value obtained for the size of the total moment is 0.0 μB per formula unit. As for the final energy: -519.0 eV per cell. The value obtained for the formation energy is -17.14 eV per formula unit.

***

5.
The following is a DFT calculation (r2SCAN) of a geometry-optimized Tb2S2O structure.

Cell: 8.294 6.920 6.879 Å, 90.00 99.36 90.00°
Sites, in units of the cell vectors:
Tb (0.077, 0.142, 0.321)
Tb (0.077, 0.358, 0.821)
Tb (0.362, 0.553, 0.249)
Tb (0.362, 0.947, 0.749)
Tb (0.638, 0.053, 0.251)
Tb (0.638, 0.447, 0.751)
Tb (0.923, 0.642, 0.179)
Tb (0.923, 0.858, 0.679)
S (0.180, 0.636, 0.574)
S (0.180, 0.864, 0.074)
S (0.423, 0.223, 0.470)
S (0.423, 0.277, 0.970)
S (0.577, 0.723, 0.030)
S (0.577, 0.777, 0.530)
S (0.820, 0.136, 0.926)
S (0.820, 0.364, 0.426)
O (0.117, 0.087, 0.649)
O (0.117, 0.413, 0.149)
O (0.883, 0.587, 0.851)
O (0.883, 0.913, 0.351)

## Properties
The value obtained for the size of the total moment is 0.0 μB per formula unit. As for the final energy: -397.3 eV per cell. The value obtained for the formation energy is -14.83 eV per formula unit.

***

6.
The following is a DFT calculation (r2SCAN) of a geometry-optimized Hg structure.

Cell: 4.121 4.121 4.468 Å, 117.23 117.23 59.54°
Sites, in units of the cell vectors:
Hg (0.250, 0.250, 0.750)
Hg (0.750, 0.750, 0.250)

## Properties
The value obtained for the size of the total moment is 0.0 μB per formula unit. As for the final energy: -98.7 eV per cell. The value obtained for the formation energy is 0.02 eV per formula unit. As for the distance to the lowest polymorph of the same formula: 17 meV per atom.

***

7.
The following is a DFT calculation (r2SCAN) of a geometry-optimized Er3Mg structure.

Cell: 6.935 6.935 5.498 Å, 90.00 90.00 120.00°
Sites, in units of the cell vectors:
Er (0.170, 0.339, 0.250)
Er (0.170, 0.830, 0.250)
Er (0.339, 0.170, 0.750)
Er (0.661, 0.830, 0.250)
Er (0.830, 0.170, 0.750)
Er (0.830, 0.661, 0.750)
Mg (0.333, 0.667, 0.750)
Mg (0.667, 0.333, 0.250)

## Properties
The value obtained for the size of the total moment is 0.0 μB per formula unit. As for the final energy: -211.8 eV per cell. The value obtained for the formation energy is 0.06 eV per formula unit.

***

8.
The following is a DFT calculation (r2SCAN) of a geometry-optimized LiHoTl2 structure.

Cell: 5.128 5.128 5.128 Å, 60.00 60.00 60.00°
Sites, in units of the cell vectors:
Li (0.000, 0.000, 0.000)
Ho (0.500, 0.500, 0.500)
Tl (0.250, 0.250, 0.250)
Tl (0.750, 0.750, 0.750)

## Properties
The value obtained for the size of the total moment is 0.0 μB per formula unit. As for the final energy: -143.2 eV per cell. The value obtained for the formation energy is -1.54 eV per formula unit.

***

9.
The following is a DFT calculation (r2SCAN) of a geometry-optimized SiO2 structure.

Cell: 7.503 16.198 5.230 Å, 90.00 90.00 90.00°
Sites, in units of the cell vectors:
O (0.324, 0.887, 0.750)
Si (0.207, 0.804, 0.750)
Si (0.500, 0.943, 0.750)
O (0.000, 0.830, 0.750)
Si (0.707, 0.304, 0.750)
O (0.750, 0.250, 0.500)
O (0.500, 0.330, 0.750)
Si (0.293, 0.696, 0.250)
O (0.000, 0.500, 0.000)
Si (0.707, 0.696, 0.250)
Si (0.793, 0.804, 0.750)
O (0.176, 0.613, 0.250)
O (0.676, 0.113, 0.250)
O (0.250, 0.750, 0.500)
O (0.750, 0.250, 0.000)
Si (0.793, 0.196, 0.250)
O (0.250, 0.250, 0.000)
O (0.000, 0.500, 0.500)
Si (0.000, 0.443, 0.750)
Si (0.293, 0.304, 0.750)
O (0.500, 0.670, 0.250)
O (0.324, 0.113, 0.250)
Si (0.000, 0.557, 0.250)
O (0.824, 0.613, 0.250)
O (0.824, 0.387, 0.750)
O (0.500, 0.000, 0.500)
O (0.750, 0.750, 0.000)
Si (0.500, 0.057, 0.250)
O (0.250, 0.750, 0.000)
O (0.176, 0.387, 0.750)
O (0.000, 0.170, 0.250)
O (0.676, 0.887, 0.750)
Si (0.207, 0.196, 0.250)
O (0.500, 0.000, 0.000)
O (0.250, 0.250, 0.500)
O (0.750, 0.750, 0.500)

## Properties
The value obtained for the size of the total moment is 0.0 μB per formula unit. As for the final energy: -357.3 eV per cell. The value obtained for the formation energy is -9.06 eV per formula unit.

***

10.
The following is a DFT calculation (r2SCAN) of a geometry-optimized Nd2GaCo2 structure.

Cell: 5.710 5.710 5.710 Å, 135.72 127.32 71.21°
Sites, in units of the cell vectors:
Nd (0.190, 0.190, 0.000)
Nd (0.810, 0.810, 0.000)
Ga (0.500, 0.000, 0.500)
Co (0.235, 0.500, 0.735)
Co (0.765, 0.500, 0.265)

## Properties
The value obtained for the size of the total moment is 2.4 μB per formula unit. As for the final energy: -97.9 eV per cell. The value obtained for the formation energy is -1.13 eV per formula unit.

***

11.
The following is a DFT calculation (r2SCAN) of a geometry-optimized TmB2Ir3 structure.

Cell: 5.413 5.413 3.141 Å, 90.00 90.00 120.00°
Sites, in units of the cell vectors:
Tm (0.000, 0.000, 0.000)
B (0.333, 0.667, 0.000)
B (0.667, 0.333, 0.000)
Ir (0.000, 0.500, 0.500)
Ir (0.500, 0.000, 0.500)
Ir (0.500, 0.500, 0.500)

## Properties
The value obtained for the size of the total moment is 0.0 μB per formula unit. As for the final energy: -211.5 eV per cell. The value obtained for the formation energy is -4.61 eV per formula unit.

***

12.
The following is a DFT calculation (r2SCAN) of a geometry-optimized TbBiRh structure.

Cell: 7.623 7.623 3.988 Å, 90.00 90.00 120.00°
Sites, in units of the cell vectors:
Tb (0.000, 0.600, 0.000)
Tb (0.400, 0.400, 0.000)
Tb (0.600, 0.000, 0.000)
Bi (0.000, 0.266, 0.500)
Bi (0.266, 0.000, 0.500)
Bi (0.734, 0.734, 0.500)
Rh (0.000, 0.000, 0.000)
Rh (0.333, 0.667, 0.500)
Rh (0.667, 0.333, 0.500)

## Properties
The value obtained for the size of the total moment is 0.0 μB per formula unit. As for the final energy: -349.1 eV per cell. The value obtained for the formation energy is -2.51 eV per formula unit.

***

13.
The following is a DFT calculation (r2SCAN) of a geometry-optimized Ca4Ni3C5 structure.

Cell: 5.847 5.847 9.743 Å, 111.33 111.33 37.40°
Sites, in units of the cell vectors:
Ca (0.100, 0.100, 0.398)
Ca (0.256, 0.256, 0.837)
Ca (0.744, 0.744, 0.163)
Ca (0.900, 0.900, 0.602)
Ni (0.000, 0.000, 0.000)
Ni (0.459, 0.459, 0.163)
Ni (0.541, 0.541, 0.837)
C (0.327, 0.327, 0.389)
C (0.398, 0.398, 0.310)
C (0.500, 0.500, 0.000)
C (0.602, 0.602, 0.690)
C (0.673, 0.673, 0.611)

## Properties
The value obtained for the size of the total moment is 0.0 μB per formula unit. As for the final energy: -116.9 eV per cell. The value obtained for the formation energy is -3.06 eV per formula unit.

***

14.
The following is a DFT calculation (r2SCAN) of a geometry-optimized ThSiIr structure.

Cell: 7.773 7.773 7.773 Å, 148.76 148.76 44.77°
Sites, in units of the cell vectors:
Th (0.000, 0.000, 0.000)
Th (0.750, 0.250, 0.500)
Si (0.173, 0.673, 0.500)
Si (0.423, 0.423, 0.000)
Ir (0.342, 0.842, 0.500)
Ir (0.592, 0.592, 0.000)

## Properties
The value obtained for the size of the total moment is 0.0 μB per formula unit. As for the final energy: -275.9 eV per cell. The value obtained for the formation energy is -3.34 eV per formula unit.

***

15.
The following is a DFT calculation (r2SCAN) of a geometry-optimized Li5AlO4 structure.

Cell: 8.885 9.036 9.005 Å, 90.00 90.00 90.00°
Sites, in units of the cell vectors:
Li (0.100, 0.144, 0.127)
Li (0.100, 0.356, 0.627)
Li (0.103, 0.659, 0.882)
Li (0.103, 0.841, 0.382)
Li (0.132, 0.620, 0.147)
Li (0.132, 0.880, 0.647)
Li (0.138, 0.102, 0.386)
Li (0.138, 0.398, 0.886)
Li (0.167, 0.620, 0.606)
Li (0.167, 0.880, 0.106)
Li (0.333, 0.120, 0.606)
Li (0.333, 0.380, 0.106)
Li (0.362, 0.602, 0.386)
Li (0.362, 0.898, 0.886)
Li (0.368, 0.120, 0.147)
Li (0.368, 0.380, 0.647)
Li (0.397, 0.159, 0.882)
Li (0.397, 0.341, 0.382)
Li (0.400, 0.644, 0.127)
Li (0.400, 0.856, 0.627)
Li (0.600, 0.144, 0.373)
Li (0.600, 0.356, 0.873)
Li (0.603, 0.659, 0.618)
Li (0.603, 0.841, 0.118)
Li (0.632, 0.620, 0.353)
Li (0.632, 0.880, 0.853)
Li (0.638, 0.102, 0.114)
Li (0.638, 0.398, 0.614)
Li (0.667, 0.620, 0.894)
Li (0.667, 0.880, 0.394)
Li (0.833, 0.120, 0.894)
Li (0.833, 0.380, 0.394)
Li (0.862, 0.602, 0.114)
Li (0.862, 0.898, 0.614)
Li (0.868, 0.120, 0.353)
Li (0.868, 0.380, 0.853)
Li (0.897, 0.159, 0.618)
Li (0.897, 0.341, 0.118)
Li (0.900, 0.644, 0.373)
Li (0.900, 0.856, 0.873)
Al (0.116, 0.123, 0.856)
Al (0.116, 0.377, 0.356)
Al (0.384, 0.623, 0.856)
Al (0.384, 0.877, 0.356)
Al (0.616, 0.123, 0.644)
Al (0.616, 0.377, 0.144)
Al (0.884, 0.623, 0.644)
Al (0.884, 0.877, 0.144)
O (0.000, 0.243, 0.963)
O (0.000, 0.257, 0.463)
O (0.000, 0.743, 0.537)
O (0.000, 0.757, 0.037)
O (0.007, 0.510, 0.748)
O (0.007, 0.990, 0.248)
O (0.233, 0.243, 0.752)
O (0.233, 0.257, 0.252)
O (0.239, 0.038, 0.986)
O (0.239, 0.462, 0.486)
O (0.261, 0.538, 0.986)
O (0.261, 0.962, 0.486)
O (0.267, 0.743, 0.752)
O (0.267, 0.757, 0.252)
O (0.493, 0.010, 0.748)
O (0.493, 0.490, 0.248)
O (0.500, 0.243, 0.537)
O (0.500, 0.257, 0.037)
O (0.500, 0.743, 0.963)
O (0.500, 0.757, 0.463)
O (0.507, 0.510, 0.752)
O (0.507, 0.990, 0.252)
O (0.733, 0.243, 0.748)
O (0.733, 0.257, 0.248)
O (0.739, 0.038, 0.514)
O (0.739, 0.462, 0.014)
O (0.761, 0.538, 0.514)
O (0.761, 0.962, 0.014)
O (0.767, 0.743, 0.748)
O (0.767, 0.757, 0.248)
O (0.993, 0.010, 0.752)
O (0.993, 0.490, 0.252)

## Properties
The value obtained for the size of the total moment is 0.0 μB per formula unit. As for the final energy: -536.1 eV per cell. The value obtained for the formation energy is -24.46 eV per formula unit.